Crystalline K2PO3F at its relaxed geometry, computed with GGA-PBE.

abc: 7.7569 6.0613 10.2390
angles: 90.00 90.00 90.00
Positions (direct):
K (0.0130, 0.2500, 0.2245)
K (0.1812, 0.2500, 0.5701)
K (0.3188, 0.7500, 0.0701)
K (0.4870, 0.7500, 0.7245)
K (0.5130, 0.2500, 0.2755)
K (0.6812, 0.2500, 0.9299)
K (0.8188, 0.7500, 0.4299)
K (0.9870, 0.7500, 0.7755)
P (0.2391, 0.2500, 0.9066)
P (0.2609, 0.7500, 0.4066)
P (0.7391, 0.2500, 0.5934)
P (0.7609, 0.7500, 0.0934)
O (0.1669, 0.7500, 0.5374)
O (0.2447, 0.5379, 0.3281)
O (0.2447, 0.9621, 0.3281)
O (0.2553, 0.0379, 0.8281)
O (0.2553, 0.4621, 0.8281)
O (0.3331, 0.2500, 0.0374)
O (0.6669, 0.7500, 0.9626)
O (0.7447, 0.5379, 0.1719)
O (0.7447, 0.9621, 0.1719)
O (0.7553, 0.0379, 0.6719)
O (0.7553, 0.4621, 0.6719)
O (0.8331, 0.2500, 0.4626)
F (0.0311, 0.2500, 0.9506)
F (0.4689, 0.7500, 0.4506)
F (0.5311, 0.2500, 0.5494)
F (0.9689, 0.7500, 0.0494)

Values from the calculation:
The calculation puts the energy of formation at -267 kJ per mole of atoms. As for the symmetry: Pnma (62).

Crystalline KPO2F2 at its relaxed geometry, computed with GGA-PBE.

abc: 8.1591 6.2880 7.7693
angles: 90.00 90.00 90.00
Positions (direct):
K (0.1486, 0.2500, 0.1449)
K (0.3514, 0.7500, 0.6449)
K (0.6486, 0.2500, 0.3551)
K (0.8514, 0.7500, 0.8551)
P (0.0918, 0.2500, 0.6916)
P (0.4082, 0.7500, 0.1916)
P (0.5918, 0.2500, 0.8084)
P (0.9082, 0.7500, 0.3084)
O (0.0977, 0.0421, 0.7829)
O (0.0977, 0.4579, 0.7829)
O (0.4023, 0.5421, 0.2829)
O (0.4023, 0.9579, 0.2829)
O (0.5977, 0.0421, 0.7171)
O (0.5977, 0.4579, 0.7171)
O (0.9023, 0.5421, 0.2171)
O (0.9023, 0.9579, 0.2171)
F (0.0617, 0.7500, 0.4364)
F (0.2299, 0.2500, 0.5455)
F (0.2701, 0.7500, 0.0455)
F (0.4383, 0.2500, 0.9364)
F (0.5617, 0.7500, 0.0636)
F (0.7299, 0.2500, 0.9545)
F (0.7701, 0.7500, 0.4545)
F (0.9383, 0.2500, 0.5636)

Values from the calculation:
The calculation puts the energy of formation at -278 kJ per mole of atoms. As for the symmetry: Pnma (62).